Arrangement one

{"formula": "MgSb2O4", "functional": "PBE", "state": "relaxed", "cell": [[6.431, -3.259, 0.000], [6.431, 3.259, 0.000], [-4.435, 0.000, 20.806]], "species": ["Mg", "Mg", "Mg", "Mg", "Mg", "Mg", "Mg", "Mg", "Sb", "Sb", "Sb", "Sb", "Sb", "Sb", "Sb", "Sb", "Sb", "Sb", "Sb", "Sb", "Sb", "Sb", "Sb", "Sb", "O", "O", "O", "O", "O", "O", "O", "O", "O", "O", "O", "O", "O", "O", "O", "O", "O", "O", "O", "O", "O", "O", "O", "O", "O", "O", "O", "O", "O", "O", "O", "O"], "frac_coords": [[0.000, 0.000, 0.000], [0.001, 0.001, 0.433], [0.163, 0.163, 0.893], [0.273, 0.273, 0.208], [0.311, 0.311, 0.795], [0.402, 0.402, 0.657], [0.541, 0.541, 0.536], [0.771, 0.771, 0.248], [0.041, 0.041, 0.610], [0.063, 0.553, 0.524], [0.269, 0.772, 0.267], [0.272, 0.272, 0.352], [0.280, 0.772, 0.774], [0.478, 0.987, 0.030], [0.493, 0.493, 0.951], [0.511, 0.511, 0.113], [0.553, 0.063, 0.524], [0.579, 0.579, 0.404], [0.729, 0.729, 0.686], [0.772, 0.269, 0.267], [0.772, 0.280, 0.774], [0.808, 0.808, 0.853], [0.916, 0.916, 0.125], [0.987, 0.478, 0.030], [0.003, 0.446, 0.840], [0.017, 0.017, 0.831], [0.024, 0.444, 0.284], [0.047, 0.047, 0.207], [0.051, 0.051, 0.709], [0.116, 0.630, 0.211], [0.160, 0.579, 0.728], [0.186, 0.797, 0.075], [0.190, 0.695, 0.597], [0.209, 0.209, 0.089], [0.269, 0.269, 0.976], [0.275, 0.275, 0.584], [0.322, 0.862, 0.960], [0.340, 0.780, 0.464], [0.383, 0.383, 0.489], [0.428, 0.428, 0.348], [0.444, 0.024, 0.284], [0.446, 0.003, 0.840], [0.460, 0.460, 0.856], [0.574, 0.574, 0.688], [0.579, 0.160, 0.728], [0.617, 0.617, 0.198], [0.628, 0.628, 0.064], [0.630, 0.116, 0.211], [0.693, 0.693, 0.591], [0.695, 0.190, 0.597], [0.780, 0.340, 0.464], [0.797, 0.186, 0.075], [0.851, 0.851, 0.947], [0.862, 0.322, 0.960], [0.899, 0.899, 0.489], [0.990, 0.990, 0.327]], "m_tot_mub_per_cell": 0.00, "spacegroup": "Cm, No. 8"}


Arrangement two

{"formula": "MgSb2O4", "functional": "PBE", "state": "relaxed", "cell": [[6.982, 0.000, 0.000], [0.000, 9.984, 0.000], [-0.187, 0.000, 7.123]], "species": ["Mg", "Mg", "Mg", "Mg", "Sb", "Sb", "Sb", "Sb", "Sb", "Sb", "Sb", "Sb", "O", "O", "O", "O", "O", "O", "O", "O", "O", "O", "O", "O", "O", "O", "O", "O"], "frac_coords": [[0.025, 0.000, 0.369], [0.310, 0.014, 0.791], [0.690, 0.514, 0.209], [0.975, 0.500, 0.631], [0.050, 0.709, 0.215], [0.060, 0.328, 0.234], [0.368, 0.709, 0.586], [0.395, 0.333, 0.892], [0.605, 0.833, 0.108], [0.632, 0.209, 0.414], [0.940, 0.828, 0.766], [0.950, 0.209, 0.785], [0.093, 0.081, 0.615], [0.112, 0.915, 0.951], [0.116, 0.665, 0.733], [0.150, 0.355, 0.723], [0.199, 0.829, 0.416], [0.209, 0.217, 0.040], [0.468, 0.858, 0.731], [0.489, 0.171, 0.780], [0.511, 0.671, 0.220], [0.532, 0.358, 0.269], [0.791, 0.717, 0.960], [0.801, 0.329, 0.584], [0.850, 0.855, 0.277], [0.884, 0.165, 0.267], [0.888, 0.415, 0.049], [0.907, 0.581, 0.385]], "m_tot_mub_per_cell": 0.00, "spacegroup": "P2_1, No. 4"}


In meV per atom, relative to the most stable structure: arrangement one 32; arrangement two 0.


Arrangement one

{"formula": "MgAl2O4", "functional": "PBE", "state": "relaxed", "cell": [[1.403, -4.636, 0.000], [1.403, 4.636, 0.000], [0.000, 0.000, 9.462]], "species": ["Mg", "Mg", "Al", "Al", "Al", "Al", "O", "O", "O", "O", "O", "O", "O", "O"], "frac_coords": [[0.111, 0.889, 0.750], [0.889, 0.111, 0.250], [0.365, 0.635, 0.573], [0.365, 0.635, 0.927], [0.635, 0.365, 0.073], [0.635, 0.365, 0.427], [0.000, 0.000, 0.000], [0.000, 0.000, 0.500], [0.270, 0.730, 0.110], [0.270, 0.730, 0.390], [0.452, 0.548, 0.750], [0.548, 0.452, 0.250], [0.730, 0.270, 0.610], [0.730, 0.270, 0.890]], "m_tot_mub_per_cell": 0.00, "spacegroup": "Cmcm, No. 63"}


Arrangement two

{"formula": "MgAl2O4", "functional": "PBE", "state": "relaxed", "cell": [[8.759, 0.000, 0.000], [0.000, 2.814, 0.000], [0.000, 0.000, 10.033]], "species": ["Mg", "Mg", "Mg", "Mg", "Al", "Al", "Al", "Al", "Al", "Al", "Al", "Al", "O", "O", "O", "O", "O", "O", "O", "O", "O", "O", "O", "O", "O", "O", "O", "O"], "frac_coords": [[0.246, 0.250, 0.152], [0.254, 0.750, 0.652], [0.746, 0.250, 0.348], [0.754, 0.750, 0.848], [0.059, 0.250, 0.383], [0.087, 0.250, 0.896], [0.413, 0.750, 0.396], [0.441, 0.750, 0.883], [0.559, 0.250, 0.117], [0.587, 0.250, 0.604], [0.913, 0.750, 0.104], [0.941, 0.750, 0.617], [0.037, 0.750, 0.784], [0.088, 0.250, 0.570], [0.120, 0.750, 0.029], [0.201, 0.750, 0.332], [0.299, 0.250, 0.832], [0.380, 0.250, 0.529], [0.412, 0.750, 0.070], [0.463, 0.250, 0.284], [0.537, 0.750, 0.716], [0.588, 0.250, 0.930], [0.620, 0.750, 0.471], [0.701, 0.750, 0.168], [0.799, 0.250, 0.668], [0.880, 0.250, 0.971], [0.912, 0.750, 0.430], [0.963, 0.250, 0.216]], "m_tot_mub_per_cell": 0.00, "spacegroup": "Pnma, No. 62"}


In meV per atom, relative to the most stable structure: arrangement one 9; arrangement two 0.


Arrangement one

{"formula": "Li2BiO3", "functional": "PBE", "state": "relaxed", "cell": [[5.780, 0.000, 0.000], [0.000, 5.769, 0.000], [0.000, 0.000, 9.478]], "species": ["Li", "Li", "Li", "Li", "Li", "Li", "Li", "Li", "Bi", "Bi", "Bi", "Bi", "O", "O", "O", "O", "O", "O", "O", "O", "O", "O", "O", "O"], "frac_coords": [[0.000, 0.000, 0.000], [0.000, 0.500, 0.500], [0.246, 0.250, 0.250], [0.254, 0.750, 0.250], [0.500, 0.000, 0.000], [0.500, 0.500, 0.500], [0.746, 0.250, 0.750], [0.754, 0.750, 0.750], [0.250, 0.000, 0.600], [0.250, 0.500, 0.900], [0.750, 0.000, 0.400], [0.750, 0.500, 0.100], [0.085, 0.712, 0.076], [0.085, 0.788, 0.424], [0.091, 0.750, 0.750], [0.409, 0.250, 0.750], [0.415, 0.212, 0.424], [0.415, 0.288, 0.076], [0.585, 0.712, 0.924], [0.585, 0.788, 0.576], [0.591, 0.750, 0.250], [0.909, 0.250, 0.250], [0.915, 0.212, 0.576], [0.915, 0.288, 0.924]], "m_tot_mub_per_cell": 0.00, "spacegroup": "Pnna, No. 52"}


Arrangement two

{"formula": "Li2BiO3", "functional": "PBE", "state": "relaxed", "cell": [[2.221, -4.969, 0.000], [2.221, 4.969, 0.000], [0.000, 0.000, 3.464]], "species": ["Li", "Li", "Bi", "O", "O", "O"], "frac_coords": [[0.156, 0.844, 0.000], [0.844, 0.156, 0.000], [0.500, 0.500, 0.500], [0.000, 0.000, 0.500], [0.352, 0.648, 0.000], [0.648, 0.352, 0.000]], "spacegroup": "Cmmm, No. 65"}


In meV per atom, relative to the most stable structure: arrangement one 61; arrangement two 0.